Crystalline Ba3LiTi5Nb3O21 at its relaxed geometry, computed with PBE.

total DFT energy (no corrections): -8.402 eV per atom
energy relative to the elements: -110.33 eV per formula unit

Unit cell a=9.2408 b=9.2408 c=11.7459 alpha=90.00 beta=90.00 gamma=59.71
Closest atoms and distances in Å follow each position.
Element x y z (fractional)
Ba (0.0951, 0.4968, 0.9989)  8 O 2.79-3.12
Ba (0.0972, 0.9028, 0.5000)  6 O 2.74-2.87
Ba (0.4968, 0.0951, 0.4989)  8 O 2.79-3.12
Ba (0.5032, 0.9049, 0.9989)  8 O 2.79-3.12
Ba (0.9028, 0.0972, 0.0000)  6 O 2.74-2.87
Ba (0.9049, 0.5032, 0.4989)  8 O 2.79-3.12
Li (0.4948, 0.5052, 0.5028)  3 O 1.85-1.86
Li (0.5052, 0.4948, 0.0028)  3 O 1.85-1.86
Ti (0.2486, 0.5000, 0.3382)  4 O 1.89-1.96
Ti (0.2519, 0.7481, 0.1643)  6 O 1.91-2.13
Ti (0.2541, 0.4953, 0.6555)  5 O 1.89-2.08
Ti (0.4953, 0.2541, 0.1555)  5 O 1.89-2.08
Ti (0.5000, 0.2486, 0.8382)  4 O 1.89-1.96
Ti (0.5001, 0.7514, 0.3382)  4 O 1.89-1.96
Ti (0.5047, 0.7459, 0.6555)  5 O 1.89-2.08
Ti (0.7459, 0.5047, 0.1555)  5 O 1.89-2.08
Ti (0.7481, 0.2519, 0.6643)  6 O 1.91-2.13
Ti (0.7514, 0.5001, 0.8382)  4 O 1.89-1.96
Nb (0.1665, 0.1694, 0.7460)  6 O 1.99-2.06
Nb (0.1694, 0.1665, 0.2460)  6 O 1.99-2.06
Nb (0.2541, 0.7459, 0.8395)  6 O 1.95-2.11
Nb (0.7459, 0.2541, 0.3395)  6 O 1.95-2.11
Nb (0.8306, 0.8335, 0.7460)  6 O 1.99-2.06
Nb (0.8335, 0.8306, 0.2460)  6 O 1.99-2.06
O (0.0151, 0.8163, 0.8526)  2 Nb 1.97-2.06
O (0.0193, 0.6664, 0.3497)  1 Ti 1.89, 1 Nb 2.03
O (0.0205, 0.8130, 0.1485)  1 Ti 1.92, 1 Nb 2.01
O (0.0212, 0.6670, 0.6501)  1 Ti 1.93, 1 Nb 2.00
O (0.1837, 0.9849, 0.8526)  2 Nb 1.97-2.06
O (0.1865, 0.3315, 0.6447)  1 Ti 1.91, 1 Nb 1.99
O (0.1870, 0.9795, 0.1485)  1 Ti 1.92, 1 Nb 2.01
O (0.1882, 0.3315, 0.3485)  1 Ti 1.90, 1 Nb 2.02
O (0.2952, 0.5011, 0.8224)  2 Ti 2.00-2.15, 1 Nb 2.11
O (0.2964, 0.7036, 0.3230)  1 Ti 1.91
O (0.2979, 0.4986, 0.1756)  3 Ti 1.96-2.13
O (0.2976, 0.4985, 0.4981)  1 Li 1.85, 2 Ti 1.89-1.93
O (0.3000, 0.7000, 0.6713)  1 Nb 2.02, 2 Ti 2.15
O (0.3032, 0.6968, 0.0009)  1 Li 1.86, 1 Nb 1.95, 1 Ti 1.98
O (0.3315, 0.1865, 0.1447)  1 Ti 1.91, 1 Nb 1.99
O (0.3315, 0.1882, 0.8485)  1 Ti 1.90, 1 Nb 2.02
O (0.3330, 0.9788, 0.6501)  1 Ti 1.93, 1 Nb 2.00
O (0.3336, 0.9807, 0.3497)  1 Ti 1.89, 1 Nb 2.03
O (0.4986, 0.2979, 0.6756)  3 Ti 1.96-2.13
O (0.4985, 0.2976, 0.9981)  1 Li 1.85, 2 Ti 1.89-1.93
O (0.4989, 0.7048, 0.8224)  2 Ti 2.00-2.15, 1 Nb 2.11
O (0.5011, 0.2952, 0.3224)  2 Ti 2.00-2.15, 1 Nb 2.11
O (0.5014, 0.7021, 0.1756)  3 Ti 1.96-2.13
O (0.5015, 0.7024, 0.4981)  1 Li 1.85, 2 Ti 1.89-1.93
O (0.6664, 0.0193, 0.8497)  1 Ti 1.89, 1 Nb 2.03
O (0.6670, 0.0212, 0.1501)  1 Ti 1.93, 1 Nb 2.00
O (0.6685, 0.8118, 0.3485)  1 Ti 1.90, 1 Nb 2.02
O (0.6685, 0.8135, 0.6447)  1 Ti 1.91, 1 Nb 1.99
O (0.6968, 0.3032, 0.5009)  1 Li 1.86, 1 Nb 1.95, 1 Ti 1.98
O (0.7000, 0.3000, 0.1713)  1 Nb 2.02, 2 Ti 2.15
O (0.7021, 0.5014, 0.6756)  3 Ti 1.96-2.13
O (0.7024, 0.5015, 0.9981)  1 Li 1.85, 2 Ti 1.89-1.93
O (0.7036, 0.2964, 0.8230)  1 Ti 1.91
O (0.7048, 0.4989, 0.3224)  2 Ti 2.00-2.15, 1 Nb 2.11
O (0.8118, 0.6685, 0.8485)  1 Ti 1.90, 1 Nb 2.02
O (0.8130, 0.0205, 0.6485)  1 Ti 1.92, 1 Nb 2.01
O (0.8135, 0.6685, 0.1447)  1 Ti 1.91, 1 Nb 1.99
O (0.8163, 0.0151, 0.3526)  2 Nb 1.97-2.06
O (0.9788, 0.3330, 0.1501)  1 Ti 1.93, 1 Nb 2.00
O (0.9795, 0.1870, 0.6485)  1 Ti 1.92, 1 Nb 2.01
O (0.9807, 0.3336, 0.8497)  1 Ti 1.89, 1 Nb 2.03
O (0.9849, 0.1837, 0.3526)  2 Nb 1.97-2.06